# PBE Nb2GaC, optimized geometry
data_Nb2GaC
_chemical_formula_sum 'Nb4 Ga2 C2'
_cell_length_a 3.1623
_cell_length_b 3.1623
_cell_length_c 13.6201
_cell_angle_alpha 90.00
_cell_angle_beta 90.00
_cell_angle_gamma 120.00
_symmetry_space_group_name_H-M 'P 63/m m c'
_symmetry_Int_Tables_number 194
_symmetry_space_group_name_Hall '-P 6c 2c'
loop_
_atom_site_label
_atom_site_type_symbol
_atom_site_fract_x
_atom_site_fract_y
_atom_site_fract_z
_atom_site_occupancy
Nb1 Nb 0.3333 0.6667 0.0894 1
Ga1 Ga 0.3333 0.6667 0.7500 1
C1 C 0.0000 0.0000 0.0000 1
# **Raw total energy**: -0.6345 Ry per atom
# **DFT formation energy**: -517 meV per atom